SrZnGe: optimized geometry, PBE.

Summary:
E_form   -508 meV per atom
E   -9.1 eV per cell
Volume   76.6 Å³/f.u.

Cell: 4.349 4.349 4.677 Å, 90.00 90.00 120.00°
Atoms (fractional coordinates):
Sr  0.000  0.000  0.000
Zn  0.667  0.333  0.500
Ge  0.333  0.667  0.500

Ta5Ge3: optimized geometry, PBE.

Summary:
E_form   -275 meV per atom
E   -150.7 eV per cell
Total magnetization   0.04 μB/f.u.
Volume   135.6 Å³/f.u.

Cell: 7.655 7.655 5.347 Å, 90.00 90.00 120.00°
Atoms (fractional coordinates):
Ta  0.000  0.237  0.250
Ta  0.000  0.763  0.750
Ta  0.237  0.000  0.250
Ta  0.237  0.237  0.750
Ta  0.333  0.667  0.000
Ta  0.333  0.667  0.500
Ta  0.667  0.333  0.000
Ta  0.667  0.333  0.500
Ta  0.763  0.000  0.750
Ta  0.763  0.763  0.250
Ge  0.000  0.397  0.750
Ge  0.000  0.603  0.250
Ge  0.397  0.000  0.750
Ge  0.397  0.397  0.250
Ge  0.603  0.000  0.250
Ge  0.603  0.603  0.750

Ta3Ge: optimized geometry, PBE.

Summary:
E_form   -260 meV per atom
E   -165.0 eV per cell
Volume   70.4 Å³/f.u.

Cell: 7.804 7.804 7.804 Å, 96.37 96.37 141.10°
Atoms (fractional coordinates):
Ta  0.049  0.025  0.595
Ta  0.129  0.311  0.985
Ta  0.327  0.144  0.015
Ta  0.369  0.028  0.368
Ta  0.430  0.454  0.405
Ta  0.546  0.951  0.976
Ta  0.660  0.002  0.632
Ta  0.689  0.673  0.818
Ta  0.856  0.871  0.182
Ta  0.972  0.340  0.341
Ta  0.975  0.570  0.024
Ta  0.998  0.631  0.659
Ge  0.226  0.491  0.683
Ge  0.457  0.774  0.265
Ge  0.509  0.192  0.735
Ge  0.808  0.543  0.317

Ta3Ge: optimized geometry, PBE.

Summary:
E_form   -275 meV per atom
E   -330.4 eV per cell
Volume   70.1 Å³/f.u.

Cell: 10.340 10.340 5.248 Å, 90.00 90.00 90.00°
Atoms (fractional coordinates):
Ta  0.038  0.939  0.239
Ta  0.061  0.538  0.739
Ta  0.101  0.266  0.023
Ta  0.152  0.836  0.723
Ta  0.164  0.652  0.223
Ta  0.234  0.101  0.477
Ta  0.266  0.399  0.477
Ta  0.336  0.848  0.223
Ta  0.348  0.664  0.723
Ta  0.399  0.234  0.023
Ta  0.439  0.962  0.739
Ta  0.462  0.561  0.239
Ta  0.538  0.439  0.761
Ta  0.561  0.038  0.261
Ta  0.601  0.766  0.977
Ta  0.652  0.336  0.277
Ta  0.664  0.152  0.777
Ta  0.734  0.601  0.523
Ta  0.766  0.899  0.523
Ta  0.836  0.348  0.777
Ta  0.848  0.164  0.277
Ta  0.899  0.734  0.977
Ta  0.939  0.462  0.261
Ta  0.962  0.061  0.761
Ge  0.046  0.276  0.526
Ge  0.224  0.046  0.974
Ge  0.276  0.454  0.974
Ge  0.454  0.224  0.526
Ge  0.546  0.776  0.474
Ge  0.724  0.546  0.026
Ge  0.776  0.954  0.026
Ge  0.954  0.724  0.474

TaGe2: optimized geometry, PBE.

Summary:
E_form   -222 meV per atom
E   -65.3 eV per cell
Volume   49.3 Å³/f.u.

Cell: 5.009 5.009 6.808 Å, 90.00 90.00 120.00°
Atoms (fractional coordinates):
Ta  0.000  0.500  0.167
Ta  0.500  0.000  0.500
Ta  0.500  0.500  0.833
Ge  0.164  0.329  0.500
Ge  0.164  0.836  0.833
Ge  0.329  0.164  0.167
Ge  0.671  0.836  0.167
Ge  0.836  0.164  0.833
Ge  0.836  0.671  0.500

Ta5Ge3: optimized geometry, PBE.

Summary:
E_form   -347 meV per atom
E   -151.9 eV per cell
Volume   134.5 Å³/f.u.

Cell: 7.649 7.649 7.649 Å, 96.63 96.63 140.27°
Atoms (fractional coordinates):
Ta  0.074  0.776  0.851
Ta  0.224  0.074  0.298
Ta  0.250  0.750  0.500
Ta  0.276  0.574  0.851
Ta  0.426  0.276  0.702
Ta  0.574  0.724  0.298
Ta  0.724  0.426  0.149
Ta  0.750  0.250  0.500
Ta  0.776  0.926  0.702
Ta  0.926  0.224  0.149
Ge  0.167  0.333  0.500
Ge  0.250  0.250  0.000
Ge  0.333  0.833  0.166
Ge  0.667  0.167  0.834
Ge  0.750  0.750  0.000
Ge  0.833  0.667  0.500

Ta5Ge3: optimized geometry, PBE.

Summary:
E_form   -363 meV per atom
E   -152.1 eV per cell
Volume   134.8 Å³/f.u.

Cell: 7.678 7.678 7.678 Å, 128.50 128.50 75.82°
Atoms (fractional coordinates):
Ta  0.000  0.000  0.000
Ta  0.006  0.506  0.821
Ta  0.185  0.006  0.500
Ta  0.315  0.815  0.821
Ta  0.494  0.315  0.500
Ta  0.500  0.500  0.000
Ta  0.506  0.685  0.500
Ta  0.685  0.185  0.179
Ta  0.815  0.994  0.500
Ta  0.994  0.494  0.179
Ge  0.136  0.364  0.500
Ge  0.250  0.250  0.000
Ge  0.364  0.864  0.227
Ge  0.636  0.136  0.773
Ge  0.750  0.750  0.000
Ge  0.864  0.636  0.500

U2Ta3Ge4: optimized geometry, PBE.

Summary:
E_form   27 meV per atom
E   -305.6 eV per cell
Total magnetization   0.17 μB/f.u.
Volume   174.4 Å³/f.u.

Cell: 7.034 13.752 7.213 Å, 90.00 90.00 90.00°
Atoms (fractional coordinates):
U  0.137  0.124  0.158
U  0.137  0.376  0.158
U  0.363  0.624  0.658
U  0.363  0.876  0.658
U  0.637  0.124  0.342
U  0.637  0.376  0.342
U  0.863  0.624  0.842
U  0.863  0.876  0.842
Ta  0.037  0.594  0.319
Ta  0.037  0.906  0.319
Ta  0.178  0.750  0.996
Ta  0.322  0.250  0.496
Ta  0.463  0.094  0.819
Ta  0.463  0.406  0.819
Ta  0.537  0.594  0.181
Ta  0.537  0.906  0.181
Ta  0.678  0.750  0.504
Ta  0.822  0.250  0.004
Ta  0.963  0.094  0.681
Ta  0.963  0.406  0.681
Ge  0.047  0.750  0.576
Ge  0.174  0.250  0.832
Ge  0.219  0.549  0.987
Ge  0.219  0.951  0.987
Ge  0.281  0.049  0.487
Ge  0.281  0.451  0.487
Ge  0.326  0.750  0.332
Ge  0.453  0.250  0.076
Ge  0.547  0.750  0.924
Ge  0.674  0.250  0.668
Ge  0.719  0.549  0.513
Ge  0.719  0.951  0.513
Ge  0.781  0.049  0.013
Ge  0.781  0.451  0.013
Ge  0.826  0.750  0.168
Ge  0.953  0.250  0.424

U2Ta3Ge4: optimized geometry, PBE.

Summary:
E_form   -349 meV per atom
E   -319.2 eV per cell
Total magnetization   4.68 μB/f.u.
Volume   168.0 Å³/f.u.

Cell: 7.033 13.395 7.133 Å, 90.00 90.00 90.00°
Atoms (fractional coordinates):
U  0.008  0.091  0.170
U  0.008  0.409  0.170
U  0.492  0.591  0.670
U  0.492  0.909  0.670
U  0.508  0.091  0.330
U  0.508  0.409  0.330
U  0.992  0.591  0.830
U  0.992  0.909  0.830
Ta  0.160  0.625  0.335
Ta  0.160  0.875  0.335
Ta  0.168  0.250  0.503
Ta  0.332  0.750  0.003
Ta  0.340  0.125  0.835
Ta  0.340  0.375  0.835
Ta  0.660  0.625  0.165
Ta  0.660  0.875  0.165
Ta  0.668  0.250  0.997
Ta  0.832  0.750  0.497
Ta  0.840  0.125  0.665
Ta  0.840  0.375  0.665
Ge  0.040  0.250  0.879
Ge  0.175  0.043  0.543
Ge  0.175  0.457  0.543
Ge  0.192  0.750  0.645
Ge  0.308  0.250  0.145
Ge  0.325  0.543  0.043
Ge  0.325  0.957  0.043
Ge  0.460  0.750  0.379
Ge  0.540  0.250  0.621
Ge  0.675  0.043  0.957
Ge  0.675  0.457  0.957
Ge  0.692  0.750  0.855
Ge  0.808  0.250  0.355
Ge  0.825  0.543  0.457
Ge  0.825  0.957  0.457
Ge  0.960  0.750  0.121

Ta2V3Ge: optimized geometry, PBE.

Summary:
E_form   -247 meV per atom
E   -114.1 eV per cell
Volume   90.7 Å³/f.u.

Cell: 4.994 4.994 8.403 Å, 90.00 90.00 120.00°
Atoms (fractional coordinates):
Ta  0.333  0.667  0.062
Ta  0.333  0.667  0.438
Ta  0.667  0.333  0.562
Ta  0.667  0.333  0.938
V  0.173  0.346  0.750
V  0.173  0.827  0.750
V  0.346  0.173  0.250
V  0.654  0.827  0.750
V  0.827  0.173  0.250
V  0.827  0.654  0.250
Ge  0.000  0.000  0.000
Ge  0.000  0.000  0.500

TbGe5: optimized geometry, PBE.

Summary:
E_form   -224 meV per atom
E   -58.2 eV per cell
Total magnetization   0.00 μB/f.u.
Volume   121.4 Å³/f.u.

Cell: 3.988 6.174 9.866 Å, 90.00 90.00 90.00°
Atoms (fractional coordinates):
Tb  0.000  0.000  0.000
Tb  0.500  0.500  0.500
Ge  0.000  0.208  0.331
Ge  0.000  0.208  0.669
Ge  0.000  0.500  0.000
Ge  0.000  0.792  0.331
Ge  0.000  0.792  0.669
Ge  0.500  0.000  0.500
Ge  0.500  0.292  0.169
Ge  0.500  0.292  0.831
Ge  0.500  0.708  0.169
Ge  0.500  0.708  0.831

TbGe2: optimized geometry, PBE.

Summary:
E_form   -539 meV per atom
E   -62.0 eV per cell
Total magnetization   0.00 μB/f.u.
Volume   66.9 Å³/f.u.

Cell: 3.988 3.988 16.837 Å, 90.00 90.00 90.00°
Atoms (fractional coordinates):
Tb  0.000  0.250  0.375
Tb  0.000  0.750  0.625
Tb  0.500  0.250  0.125
Tb  0.500  0.750  0.875
Ge  0.000  0.250  0.797
Ge  0.000  0.250  0.953
Ge  0.000  0.750  0.047
Ge  0.000  0.750  0.203
Ge  0.500  0.250  0.547
Ge  0.500  0.250  0.703
Ge  0.500  0.750  0.297
Ge  0.500  0.750  0.453

Tb2Ge3: optimized geometry, PBE.

Summary:
E_form   -497 meV per atom
E   -25.6 eV per cell
Total magnetization   0.00 μB/f.u.
Volume   120.7 Å³/f.u.

Cell: 4.429 4.429 7.103 Å, 90.00 90.00 120.00°
Atoms (fractional coordinates):
Tb  0.000  0.000  0.231
Tb  0.000  0.000  0.769
Ge  0.333  0.667  0.500
Ge  0.667  0.333  0.000
Ge  0.667  0.333  0.500

TbGe2: optimized geometry, PBE.

Summary:
E_form   -528 meV per atom
E   -61.9 eV per cell
Total magnetization   0.00 μB/f.u.
Volume   65.1 Å³/f.u.

Cell: 15.855 15.855 3.996 Å, 90.00 90.00 164.99°
Atoms (fractional coordinates):
Tb  0.071  0.929  0.000
Tb  0.187  0.813  0.500
Tb  0.813  0.187  0.500
Tb  0.929  0.071  0.000
Ge  0.000  0.000  0.500
Ge  0.272  0.728  0.000
Ge  0.353  0.647  0.000
Ge  0.405  0.595  0.500
Ge  0.500  0.500  0.000
Ge  0.595  0.405  0.500
Ge  0.647  0.353  0.000
Ge  0.728  0.272  0.000

TbGe: optimized geometry, PBE.

Summary:
E_form   -875 meV per atom
E   -44.0 eV per cell
Volume   46.4 Å³/f.u.

Cell: 4.331 10.799 3.970 Å, 90.00 90.00 90.00°
Atoms (fractional coordinates):
Tb  0.000  0.138  0.250
Tb  0.000  0.862  0.750
Tb  0.500  0.362  0.750
Tb  0.500  0.638  0.250
Ge  0.000  0.415  0.250
Ge  0.000  0.585  0.750
Ge  0.500  0.085  0.750
Ge  0.500  0.915  0.250

TbTiGe: optimized geometry, PBE.

Summary:
E_form   -684 meV per atom
E   -38.4 eV per cell
Volume   64.4 Å³/f.u.

Cell: 4.089 4.089 7.701 Å, 90.00 90.00 90.00°
Atoms (fractional coordinates):
Tb  0.250  0.250  0.156
Tb  0.750  0.750  0.844
Ti  0.250  0.750  0.500
Ti  0.750  0.250  0.500
Ge  0.250  0.250  0.741
Ge  0.750  0.750  0.259

TbTiGe: optimized geometry, PBE.

Summary:
E_form   -662 meV per atom
E   -76.6 eV per cell
Total magnetization   1.92 μB/f.u.
Volume   64.2 Å³/f.u.

Cell: 4.065 4.065 15.539 Å, 90.00 90.00 90.00°
Atoms (fractional coordinates):
Tb  0.000  0.000  0.174
Tb  0.000  0.000  0.826
Tb  0.500  0.500  0.326
Tb  0.500  0.500  0.674
Ti  0.000  0.500  0.000
Ti  0.000  0.500  0.500
Ti  0.500  0.000  0.000
Ti  0.500  0.000  0.500
Ge  0.000  0.000  0.378
Ge  0.000  0.000  0.622
Ge  0.500  0.500  0.122
Ge  0.500  0.500  0.878

Tb2Ti3Ge4: optimized geometry, PBE.

Summary:
E_form   -796 meV per atom
E   -234.4 eV per cell
Volume   171.1 Å³/f.u.

Cell: 7.057 13.492 7.186 Å, 90.00 90.00 90.00°
Atoms (fractional coordinates):
Tb  0.003  0.095  0.173
Tb  0.003  0.405  0.173
Tb  0.497  0.595  0.673
Tb  0.497  0.905  0.673
Tb  0.503  0.095  0.327
Tb  0.503  0.405  0.327
Tb  0.997  0.595  0.827
Tb  0.997  0.905  0.827
Ti  0.159  0.628  0.332
Ti  0.159  0.872  0.332
Ti  0.167  0.250  0.509
Ti  0.333  0.750  0.009
Ti  0.341  0.128  0.832
Ti  0.341  0.372  0.832
Ti  0.659  0.628  0.168
Ti  0.659  0.872  0.168
Ti  0.667  0.250  0.991
Ti  0.833  0.750  0.491
Ti  0.841  0.128  0.668
Ti  0.841  0.372  0.668
Ge  0.039  0.250  0.868
Ge  0.172  0.045  0.544
Ge  0.172  0.455  0.544
Ge  0.191  0.750  0.634
Ge  0.309  0.250  0.134
Ge  0.328  0.545  0.044
Ge  0.328  0.955  0.044
Ge  0.461  0.750  0.368
Ge  0.539  0.250  0.632
Ge  0.672  0.045  0.956
Ge  0.672  0.455  0.956
Ge  0.691  0.750  0.866
Ge  0.809  0.250  0.366
Ge  0.828  0.545  0.456
Ge  0.828  0.955  0.456
Ge  0.961  0.750  0.132

| no. | density (g/cm3) |
| --- | --- |
| 1 | 4.9 |
| 2 | 13.7 |
| 3 | 14.5 |
| 4 | 14.6 |
| 5 | 11.0 |
| 6 | 13.9 |
| 7 | 13.8 |
| 8 | 12.5 |
| 9 | 12.9 |
| 10 | 10.7 |
| 11 | 7.1 |
| 12 | 7.5 |
| 13 | 7.4 |
| 14 | 7.8 |
| 15 | 8.3 |
| 16 | 7.2 |
| 17 | 7.2 |
| 18 | 7.3 |